No. 1
{
  "formula": "ZnS",
  "functional": "PBE",
  "state": "relaxed",
  "lattice": [[-2.879, 12.678, -3.769], [-4.888, -3.440, -11.827], [-12.265, -1.877, 5.532]],
  "species": ["Zn", "Zn", "Zn", "Zn", "Zn", "Zn", "Zn", "Zn", "Zn", "Zn", "Zn", "Zn", "Zn", "Zn", "Zn", "Zn", "Zn", "Zn", "Zn", "Zn", "Zn", "Zn", "Zn", "Zn", "Zn", "Zn", "Zn", "Zn", "Zn", "Zn", "Zn", "Zn", "Zn", "Zn", "Zn", "Zn", "Zn", "Zn", "Zn", "Zn", "Zn", "Zn", "Zn", "Zn", "Zn", "Zn", "Zn", "Zn", "Zn", "Zn", "S", "S", "S", "S", "S", "S", "S", "S", "S", "S", "S", "S", "S", "S", "S", "S", "S", "S", "S", "S", "S", "S", "S", "S", "S", "S", "S", "S", "S", "S", "S", "S", "S", "S", "S", "S", "S", "S", "S", "S", "S", "S", "S", "S", "S", "S", "S", "S", "S", "S"],
  "frac_coords": [[0.921, 0.451, 0.979], [0.433, 0.209, 0.143], [0.351, 0.000, 0.950], [0.939, 0.708, 0.986], [0.299, 0.132, 0.720], [0.689, 0.753, 0.927], [0.851, 0.231, 0.195], [0.524, 0.523, 0.376], [0.906, 0.637, 0.811], [0.153, 0.784, 0.157], [0.289, 0.783, 0.282], [0.068, 0.148, 0.038], [0.343, 0.375, 0.680], [0.823, 0.485, 0.371], [0.883, 0.262, 0.902], [0.413, 0.272, 0.901], [0.503, 0.488, 0.045], [0.568, 0.172, 0.770], [0.993, 0.040, 0.279], [0.642, 0.281, 0.012], [0.208, 0.063, 0.410], [0.006, 0.881, 0.505], [0.634, 0.642, 0.131], [0.747, 0.011, 0.390], [0.615, 0.763, 0.350], [0.816, 0.244, 0.439], [0.098, 0.960, 0.004], [0.947, 0.418, 0.585], [0.007, 0.666, 0.495], [0.874, 0.152, 0.632], [0.245, 0.526, 0.411], [0.475, 0.000, 0.366], [0.828, 0.753, 0.265], [0.160, 0.284, 0.260], [0.779, 0.703, 0.548], [0.327, 0.749, 0.097], [0.548, 0.633, 0.837], [0.049, 0.560, 0.152], [0.280, 0.794, 0.497], [0.376, 0.262, 0.355], [0.312, 0.610, 0.663], [0.303, 0.811, 0.763], [0.120, 0.315, 0.822], [0.047, 0.748, 0.791], [0.532, 0.929, 0.801], [0.823, 0.969, 0.852], [0.058, 0.075, 0.850], [0.312, 0.545, 0.888], [0.293, 0.447, 0.173], [0.860, 0.885, 0.158], [0.498, 0.760, 0.164], [0.361, 0.972, 0.774], [0.642, 0.557, 0.989], [0.440, 0.529, 0.774], [0.543, 0.343, 0.131], [0.769, 0.339, 0.305], [0.522, 0.795, 0.907], [0.049, 0.026, 0.442], [0.027, 0.193, 0.202], [0.346, 0.567, 0.058], [0.423, 0.215, 0.661], [0.275, 0.377, 0.843], [0.073, 0.764, 0.616], [0.570, 0.316, 0.859], [0.186, 0.701, 0.393], [0.040, 0.315, 0.968], [0.034, 0.917, 0.157], [0.449, 0.122, 0.991], [0.797, 0.207, 0.032], [0.958, 0.256, 0.539], [0.240, 0.483, 0.578], [0.135, 0.167, 0.734], [0.324, 0.931, 0.386], [0.228, 0.231, 0.416], [0.271, 0.281, 0.131], [0.976, 0.459, 0.749], [0.103, 0.671, 0.043], [0.871, 0.789, 0.439], [0.214, 0.677, 0.805], [0.388, 0.441, 0.333], [0.386, 0.754, 0.622], [0.886, 0.566, 0.091], [0.619, 0.910, 0.425], [0.818, 0.045, 0.246], [0.145, 0.469, 0.265], [0.744, 0.119, 0.522], [0.008, 0.906, 0.856], [0.711, 0.627, 0.285], [0.979, 0.508, 0.448], [0.463, 0.700, 0.304], [0.812, 0.847, 0.984], [0.724, 0.655, 0.780], [0.500, 0.153, 0.302], [0.258, 0.874, 0.984], [0.846, 0.425, 0.819], [0.727, 0.781, 0.686], [0.658, 0.020, 0.768], [0.886, 0.125, 0.797], [0.597, 0.524, 0.529], [0.750, 0.533, 0.525]],
  "magnetic_moment_mub_per_cell": 0.001,
  "total_energy_ev_per_atom": -3.17
}



No. 2
{
  "formula": "ZnS",
  "functional": "PBE",
  "state": "relaxed",
  "lattice": [[-11.509, 2.339, -4.919], [-5.928, -5.640, 10.493], [0.023, 12.902, 5.285]],
  "species": ["Zn", "Zn", "Zn", "Zn", "Zn", "Zn", "Zn", "Zn", "Zn", "Zn", "Zn", "Zn", "Zn", "Zn", "Zn", "Zn", "Zn", "Zn", "Zn", "Zn", "Zn", "Zn", "Zn", "Zn", "Zn", "Zn", "Zn", "Zn", "Zn", "Zn", "Zn", "Zn", "Zn", "Zn", "Zn", "Zn", "Zn", "Zn", "Zn", "Zn", "Zn", "Zn", "Zn", "Zn", "Zn", "Zn", "Zn", "Zn", "Zn", "Zn", "S", "S", "S", "S", "S", "S", "S", "S", "S", "S", "S", "S", "S", "S", "S", "S", "S", "S", "S", "S", "S", "S", "S", "S", "S", "S", "S", "S", "S", "S", "S", "S", "S", "S", "S", "S", "S", "S", "S", "S", "S", "S", "S", "S", "S", "S", "S", "S", "S", "S"],
  "frac_coords": [[0.328, 0.709, 0.207], [0.389, 0.410, 0.481], [0.934, 0.912, 0.733], [0.622, 0.158, 0.072], [0.282, 0.016, 0.424], [0.599, 0.949, 0.948], [0.770, 0.176, 0.361], [0.075, 0.173, 0.312], [0.768, 0.465, 0.753], [0.814, 0.925, 0.206], [0.499, 0.239, 0.869], [0.720, 0.667, 0.927], [0.200, 0.393, 0.661], [0.841, 0.975, 0.977], [0.721, 0.765, 0.729], [0.715, 0.450, 0.075], [0.484, 0.565, 0.015], [0.067, 0.098, 0.782], [0.207, 0.159, 0.979], [0.994, 0.669, 0.835], [0.290, 0.929, 0.032], [0.171, 0.881, 0.884], [0.622, 0.296, 0.574], [0.272, 0.824, 0.566], [0.901, 0.775, 0.490], [0.106, 0.848, 0.051], [0.574, 0.417, 0.873], [0.965, 0.170, 0.600], [0.767, 0.174, 0.799], [0.494, 0.336, 0.720], [0.781, 0.507, 0.511], [0.334, 0.141, 0.734], [0.009, 0.118, 0.152], [0.440, 0.153, 0.104], [0.325, 0.649, 0.736], [0.366, 0.740, 0.889], [0.716, 0.012, 0.557], [0.267, 0.599, 0.416], [0.166, 0.587, 0.000], [0.207, 0.031, 0.265], [0.919, 0.630, 0.133], [0.605, 0.904, 0.391], [0.274, 0.390, 0.877], [0.149, 0.778, 0.323], [0.044, 0.599, 0.594], [0.896, 0.381, 0.292], [0.984, 0.378, 0.807], [0.036, 0.369, 0.072], [0.423, 0.217, 0.591], [0.460, 0.694, 0.443], [0.451, 0.864, 0.982], [0.847, 0.222, 0.213], [0.923, 0.604, 0.480], [0.224, 0.045, 0.837], [0.194, 0.613, 0.272], [0.901, 0.055, 0.840], [0.211, 0.860, 0.187], [0.871, 0.767, 0.262], [0.532, 0.973, 0.539], [0.078, 0.252, 0.714], [0.024, 0.693, 0.006], [0.735, 0.840, 0.887], [0.066, 0.802, 0.765], [0.545, 0.407, 0.041], [0.827, 0.627, 0.782], [0.981, 0.481, 0.191], [0.961, 0.955, 0.098], [0.725, 0.290, 0.137], [0.443, 0.730, 0.610], [0.108, 0.435, 0.936], [0.584, 0.740, 0.331], [0.813, 0.348, 0.855], [0.274, 0.089, 0.116], [0.977, 0.842, 0.358], [0.344, 0.269, 0.958], [0.214, 0.000, 0.591], [0.505, 0.739, 0.200], [0.640, 0.303, 0.399], [0.434, 0.523, 0.387], [0.061, 0.509, 0.722], [0.752, 0.614, 0.077], [0.623, 0.118, 0.890], [0.599, 0.781, 0.611], [0.048, 0.003, 0.603], [0.905, 0.254, 0.474], [0.024, 0.326, 0.400], [0.814, 0.871, 0.612], [0.701, 0.999, 0.093], [0.273, 0.302, 0.523], [0.215, 0.653, 0.576], [0.564, 0.594, 0.868], [0.312, 0.826, 0.404], [0.765, 0.166, 0.628], [0.325, 0.646, 0.034], [0.726, 0.430, 0.365], [0.750, 0.003, 0.366], [0.454, 0.088, 0.466], [0.667, 0.464, 0.624], [0.345, 0.457, 0.747], [0.035, 0.206, 0.018]],
  "magnetic_moment_mub_per_cell": 0.000,
  "total_energy_ev_per_atom": -3.11
}



No. 3
{
  "formula": "ZnS",
  "functional": "PBE",
  "state": "relaxed",
  "lattice": [[-2.637, 1.456, -2.400], [-0.560, 0.166, 3.807], [20.395, 39.077, 1.295]],
  "species": ["Zn", "Zn", "Zn", "Zn", "Zn", "Zn", "Zn", "Zn", "Zn", "Zn", "Zn", "Zn", "Zn", "Zn", "S", "S", "S", "S", "S", "S", "S", "S", "S", "S", "S", "S", "S", "S"],
  "frac_coords": [[0.000, 0.000, 0.143], [0.667, 0.333, 0.071], [0.000, 0.000, 0.571], [0.333, 0.667, 0.214], [0.333, 0.667, 0.786], [0.667, 0.333, 0.643], [0.667, 0.333, 0.429], [0.000, 0.000, 0.857], [0.667, 0.333, 0.929], [0.000, 0.000, 0.714], [0.667, 0.333, 0.286], [0.000, 0.000, 0.357], [0.333, 0.667, 0.000], [0.333, 0.667, 0.500], [0.333, 0.667, 0.554], [0.667, 0.333, 0.482], [0.000, 0.000, 0.196], [0.667, 0.333, 0.339], [0.000, 0.000, 0.911], [0.333, 0.667, 0.839], [0.000, 0.000, 0.768], [0.333, 0.667, 0.268], [0.667, 0.333, 0.696], [0.000, 0.000, 0.411], [0.333, 0.667, 0.054], [0.000, 0.000, 0.625], [0.667, 0.333, 0.982], [0.667, 0.333, 0.125]],
  "total_energy_ev_per_atom": -3.51
}



No. 4
{
  "formula": "ZnS",
  "functional": "PBE",
  "state": "relaxed",
  "lattice": [[12.635, -1.924, 0.000], [12.635, 1.924, 0.000], [12.342, 0.000, 3.320]],
  "species": ["Zn", "Zn", "Zn", "Zn", "S", "S", "S", "S"],
  "frac_coords": [[0.417, 0.417, 0.417], [0.000, 0.000, 0.000], [0.583, 0.583, 0.583], [0.833, 0.833, 0.833], [0.646, 0.646, 0.646], [0.896, 0.896, 0.896], [0.479, 0.479, 0.479], [0.063, 0.063, 0.063]],
  "e_ij_max_c_m2": 0.1,
  "total_energy_ev_per_atom": -3.51
}



No. 5
{
  "formula": "ZnS",
  "functional": "PBE",
  "state": "relaxed",
  "lattice": [[1.916, -3.319, 0.000], [1.916, 3.319, 0.000], [0.000, 0.000, 38.848]],
  "species": ["Zn", "Zn", "Zn", "Zn", "Zn", "Zn", "Zn", "Zn", "Zn", "Zn", "Zn", "Zn", "S", "S", "S", "S", "S", "S", "S", "S", "S", "S", "S", "S"],
  "frac_coords": [[0.333, 0.667, 0.822], [0.333, 0.667, 0.333], [0.000, 0.000, 0.250], [0.667, 0.333, 0.868], [0.000, 0.000, 0.737], [0.667, 0.333, 0.168], [0.667, 0.333, 0.657], [0.333, 0.667, 0.577], [0.667, 0.333, 0.415], [0.000, 0.000, 0.496], [0.333, 0.667, 0.085], [0.000, 0.000, 0.003], [0.667, 0.333, 0.476], [0.667, 0.333, 0.229], [0.333, 0.667, 0.637], [0.333, 0.667, 0.983], [0.667, 0.333, 0.717], [0.667, 0.333, 0.925], [0.333, 0.667, 0.147], [0.000, 0.000, 0.557], [0.333, 0.667, 0.394], [0.000, 0.000, 0.798], [0.000, 0.000, 0.312], [0.000, 0.000, 0.065]],
  "magnetic_moment_mub_per_cell": 1.012,
  "total_energy_ev_per_atom": -3.30
}



No. 6
{
  "formula": "ZnS",
  "functional": "PBE",
  "state": "relaxed",
  "lattice": [[1.927, -3.337, 0.000], [1.927, 3.337, 0.000], [0.000, 0.000, 138.484]],
  "species": ["Zn", "Zn", "Zn", "Zn", "Zn", "Zn", "Zn", "Zn", "Zn", "Zn", "Zn", "Zn", "Zn", "Zn", "Zn", "Zn", "Zn", "Zn", "Zn", "Zn", "Zn", "Zn", "Zn", "Zn", "Zn", "Zn", "Zn", "Zn", "Zn", "Zn", "Zn", "Zn", "Zn", "Zn", "Zn", "Zn", "Zn", "Zn", "Zn", "Zn", "Zn", "Zn", "Zn", "Zn", "S", "S", "S", "S", "S", "S", "S", "S", "S", "S", "S", "S", "S", "S", "S", "S", "S", "S", "S", "S", "S", "S", "S", "S", "S", "S", "S", "S", "S", "S", "S", "S", "S", "S", "S", "S", "S", "S", "S", "S", "S", "S", "S", "S"],
  "frac_coords": [[0.000, 0.000, 0.477], [0.333, 0.667, 0.705], [0.667, 0.333, 0.386], [0.667, 0.333, 0.795], [0.000, 0.000, 0.818], [0.333, 0.667, 0.159], [0.667, 0.333, 0.250], [0.000, 0.000, 0.864], [0.333, 0.667, 0.636], [0.333, 0.667, 0.227], [0.000, 0.000, 0.273], [0.667, 0.333, 0.114], [0.000, 0.000, 0.068], [0.667, 0.333, 0.886], [0.000, 0.000, 0.545], [0.333, 0.667, 0.568], [0.000, 0.000, 0.932], [0.333, 0.667, 0.091], [0.000, 0.000, 0.136], [0.667, 0.333, 0.045], [0.000, 0.000, 0.682], [0.667, 0.333, 0.318], [0.333, 0.667, 0.977], [0.000, 0.000, 0.614], [0.333, 0.667, 0.500], [0.000, 0.000, 0.750], [0.333, 0.667, 0.841], [0.667, 0.333, 0.591], [0.000, 0.000, 0.341], [0.667, 0.333, 0.955], [0.333, 0.667, 0.773], [0.333, 0.667, 0.364], [0.333, 0.667, 0.023], [0.333, 0.667, 0.295], [0.000, 0.000, 0.205], [0.000, 0.000, 0.409], [0.667, 0.333, 0.182], [0.667, 0.333, 0.523], [0.333, 0.667, 0.432], [0.667, 0.333, 0.455], [0.000, 0.000, 0.000], [0.333, 0.667, 0.909], [0.667, 0.333, 0.659], [0.667, 0.333, 0.727], [0.333, 0.667, 0.176], [0.333, 0.667, 0.653], [0.667, 0.333, 0.267], [0.333, 0.667, 0.585], [0.000, 0.000, 0.631], [0.667, 0.333, 0.903], [0.333, 0.667, 0.449], [0.667, 0.333, 0.608], [0.333, 0.667, 0.108], [0.333, 0.667, 0.994], [0.000, 0.000, 0.358], [0.333, 0.667, 0.312], [0.000, 0.000, 0.290], [0.667, 0.333, 0.812], [0.333, 0.667, 0.790], [0.333, 0.667, 0.517], [0.333, 0.667, 0.858], [0.000, 0.000, 0.426], [0.000, 0.000, 0.767], [0.667, 0.333, 0.199], [0.000, 0.000, 0.949], [0.667, 0.333, 0.676], [0.000, 0.000, 0.017], [0.667, 0.333, 0.335], [0.667, 0.333, 0.744], [0.333, 0.667, 0.040], [0.333, 0.667, 0.381], [0.000, 0.000, 0.153], [0.667, 0.333, 0.540], [0.000, 0.000, 0.494], [0.667, 0.333, 0.472], [0.667, 0.333, 0.062], [0.000, 0.000, 0.562], [0.000, 0.000, 0.881], [0.667, 0.333, 0.403], [0.000, 0.000, 0.222], [0.000, 0.000, 0.699], [0.333, 0.667, 0.926], [0.667, 0.333, 0.972], [0.667, 0.333, 0.131], [0.000, 0.000, 0.085], [0.333, 0.667, 0.244], [0.000, 0.000, 0.835], [0.333, 0.667, 0.722]],
  "magnetic_moment_mub_per_cell": 0.006,
  "total_energy_ev_per_atom": -3.51
}



Please write out number 4 again, unchanged.
{
  "formula": "ZnS",
  "functional": "PBE",
  "state": "relaxed",
  "lattice": [[12.635, -1.924, 0.000], [12.635, 1.924, 0.000], [12.342, 0.000, 3.320]],
  "species": ["Zn", "Zn", "Zn", "Zn", "S", "S", "S", "S"],
  "frac_coords": [[0.417, 0.417, 0.417], [0.000, 0.000, 0.000], [0.583, 0.583, 0.583], [0.833, 0.833, 0.833], [0.646, 0.646, 0.646], [0.896, 0.896, 0.896], [0.479, 0.479, 0.479], [0.063, 0.063, 0.063]],
  "e_ij_max_c_m2": 0.1,
  "total_energy_ev_per_atom": -3.51
}